Li2Zr7FeP12O48: optimized geometry, PBE+U.

Values from the calculation:
- Formation enthalpy at 0 K: -3004 meV/atom
- Symmetry: P1 (1)

Unit cell a=8.985 b=9.076 c=12.546 alpha=90.12 beta=90.02 gamma=90.04
Element x y z (fractional)
Li (0.000, 0.000, 0.000)
Li (0.004, 0.056, 0.631)
Zr (0.471, 0.244, 0.694)
Zr (0.471, 0.746, 0.432)
Zr (0.471, 0.814, 0.932)
Zr (0.472, 0.317, 0.189)
Zr (0.967, 0.325, 0.934)
Zr (0.967, 0.732, 0.695)
Zr (0.968, 0.252, 0.425)
Fe (0.968, 0.815, 0.198)
P (0.107, 0.680, 0.963)
P (0.112, 0.380, 0.669)
P (0.183, 0.536, 0.306)
P (0.252, 0.030, 0.306)
P (0.323, 0.170, 0.956)
P (0.323, 0.888, 0.669)
P (0.607, 0.385, 0.455)
P (0.623, 0.672, 0.170)
P (0.678, 0.529, 0.813)
P (0.762, 0.029, 0.812)
P (0.825, 0.161, 0.166)
P (0.836, 0.886, 0.457)
O (0.036, 0.793, 0.041)
O (0.040, 0.269, 0.589)
O (0.053, 0.719, 0.849)
O (0.058, 0.340, 0.782)
O (0.062, 0.519, 0.987)
O (0.064, 0.539, 0.643)
O (0.082, 0.436, 0.374)
O (0.085, 0.636, 0.237)
O (0.150, 0.173, 0.965)
O (0.150, 0.882, 0.662)
O (0.154, 0.124, 0.380)
O (0.155, 0.933, 0.231)
O (0.277, 0.696, 0.972)
O (0.280, 0.631, 0.380)
O (0.281, 0.368, 0.660)
O (0.283, 0.441, 0.235)
O (0.350, 0.131, 0.237)
O (0.350, 0.928, 0.374)
O (0.371, 0.048, 0.645)
O (0.374, 0.215, 0.844)
O (0.375, 0.841, 0.781)
O (0.376, 0.012, 0.981)
O (0.389, 0.280, 0.037)
O (0.390, 0.784, 0.584)
O (0.541, 0.280, 0.538)
O (0.551, 0.342, 0.344)
O (0.556, 0.775, 0.085)
O (0.564, 0.547, 0.478)
O (0.565, 0.717, 0.280)
O (0.577, 0.621, 0.886)
O (0.581, 0.435, 0.740)
O (0.582, 0.510, 0.147)
O (0.655, 0.179, 0.159)
O (0.664, 0.874, 0.461)
O (0.664, 0.923, 0.877)
O (0.665, 0.134, 0.746)
O (0.777, 0.430, 0.884)
O (0.777, 0.629, 0.744)
O (0.779, 0.370, 0.460)
O (0.795, 0.688, 0.166)
O (0.865, 0.944, 0.733)
O (0.867, 0.113, 0.889)
O (0.875, 0.003, 0.137)
O (0.877, 0.201, 0.280)
O (0.887, 0.044, 0.491)
O (0.891, 0.852, 0.344)
O (0.899, 0.268, 0.086)
O (0.901, 0.777, 0.539)



CsTbMo2O8: optimized geometry, PBE+U.

Values from the calculation:
- Formation enthalpy at 0 K: -2503 meV/atom
- Symmetry: C2/c (15)

Unit cell a=7.630 b=7.630 c=7.836 alpha=117.97 beta=117.97 gamma=88.58
Element x y z (fractional)
Cs (0.196, 0.804, 0.750)
Cs (0.804, 0.196, 0.250)
Tb (0.229, 0.771, 0.250)
Tb (0.771, 0.229, 0.750)
Mo (0.305, 0.307, 0.266)
Mo (0.307, 0.305, 0.766)
Mo (0.693, 0.695, 0.234)
Mo (0.695, 0.693, 0.734)
O (0.054, 0.215, 0.702)
O (0.069, 0.379, 0.123)
O (0.215, 0.054, 0.202)
O (0.241, 0.385, 0.568)
O (0.370, 0.585, 0.034)
O (0.379, 0.069, 0.623)
O (0.385, 0.241, 0.068)
O (0.415, 0.630, 0.466)
O (0.585, 0.370, 0.534)
O (0.615, 0.759, 0.932)
O (0.621, 0.931, 0.377)
O (0.630, 0.415, 0.966)
O (0.759, 0.615, 0.432)
O (0.785, 0.946, 0.798)
O (0.931, 0.621, 0.877)
O (0.946, 0.785, 0.298)



Sr2ScFePO3: optimized geometry, PBE+U.

Values from the calculation:
- Formation enthalpy at 0 K: -2478 meV/atom
- Symmetry: P4/nmm (129)

Unit cell a=4.082 b=4.082 c=16.069 alpha=90.00 beta=90.00 gamma=90.00
Element x y z (fractional)
Sr (0.250, 0.250, 0.085)
Sr (0.250, 0.250, 0.308)
Sr (0.750, 0.750, 0.692)
Sr (0.750, 0.750, 0.915)
Sc (0.250, 0.250, 0.808)
Sc (0.750, 0.750, 0.192)
Fe (0.250, 0.750, 0.500)
Fe (0.750, 0.250, 0.500)
P (0.250, 0.250, 0.592)
P (0.750, 0.750, 0.408)
O (0.250, 0.250, 0.933)
O (0.250, 0.750, 0.213)
O (0.250, 0.750, 0.787)
O (0.750, 0.250, 0.213)
O (0.750, 0.250, 0.787)
O (0.750, 0.750, 0.067)



Li9Mn2Co5O16: optimized geometry, PBE+U.

Values from the calculation:
- Distance to the lowest polymorph of the same formula: 67 meV per atom
- Formation enthalpy at 0 K: -1797 meV/atom
- Symmetry: P-1 (2)

Unit cell a=2.961 b=9.945 c=10.198 alpha=107.01 beta=90.55 gamma=91.32
Element x y z (fractional)
Li (0.000, 0.000, 0.000)
Li (0.002, 0.747, 0.241)
Li (0.004, 0.248, 0.239)
Li (0.492, 0.003, 0.772)
Li (0.494, 0.503, 0.761)
Li (0.506, 0.497, 0.239)
Li (0.508, 0.997, 0.228)
Li (0.996, 0.752, 0.761)
Li (0.998, 0.253, 0.759)
Mn (0.000, 0.000, 0.500)
Mn (0.000, 0.500, 0.500)
Co (0.000, 0.500, 0.000)
Co (0.499, 0.763, 0.003)
Co (0.500, 0.250, 0.499)
Co (0.500, 0.750, 0.501)
Co (0.501, 0.237, 0.997)
O (0.001, 0.870, 0.121)
O (0.006, 0.616, 0.883)
O (0.012, 0.863, 0.606)
O (0.013, 0.361, 0.605)
O (0.477, 0.620, 0.611)
O (0.484, 0.120, 0.608)
O (0.490, 0.627, 0.113)
O (0.497, 0.141, 0.120)
O (0.503, 0.859, 0.880)
O (0.510, 0.373, 0.887)
O (0.516, 0.880, 0.392)
O (0.523, 0.380, 0.389)
O (0.987, 0.639, 0.395)
O (0.988, 0.137, 0.394)
O (0.994, 0.384, 0.117)
O (0.999, 0.130, 0.879)



Ho2MgCr2O8: optimized geometry, PBE+U.

Values from the calculation:
- Distance to the lowest polymorph of the same formula: 0 meV per atom
- Formation enthalpy at 0 K: -2867 meV/atom
- Symmetry: C2 (5)

Unit cell a=7.884 b=7.884 c=5.019 alpha=105.06 beta=105.06 gamma=131.31
Element x y z (fractional)
Ho (0.000, 0.000, 0.000)
Ho (0.674, 0.326, 0.500)
Mg (0.328, 0.672, 0.000)
Cr (0.162, 0.838, 0.500)
Cr (0.525, 0.475, 0.000)
O (0.079, 0.577, 0.578)
O (0.224, 0.362, 0.988)
O (0.326, 0.204, 0.526)
O (0.361, 0.118, 0.965)
O (0.423, 0.921, 0.422)
O (0.638, 0.776, 0.012)
O (0.796, 0.674, 0.474)
O (0.882, 0.639, 0.035)



Li9Mn2Co5O16: optimized geometry, PBE+U.

Values from the calculation:
- Distance to the lowest polymorph of the same formula: 126 meV per atom
- Formation enthalpy at 0 K: -1738 meV/atom
- Symmetry: P1 (1)

Unit cell a=5.741 b=5.828 c=9.776 alpha=91.04 beta=98.49 gamma=119.20
Element x y z (fractional)
Li (0.000, 0.000, 0.000)
Li (0.000, 0.485, 0.995)
Li (0.004, 0.239, 0.530)
Li (0.012, 0.754, 0.528)
Li (0.503, 0.496, 0.000)
Li (0.515, 0.241, 0.532)
Li (0.516, 0.003, 0.993)
Li (0.521, 0.759, 0.525)
Li (0.759, 0.123, 0.762)
Mn (0.258, 0.873, 0.263)
Mn (0.759, 0.374, 0.264)
Co (0.257, 0.622, 0.762)
Co (0.258, 0.374, 0.263)
Co (0.259, 0.123, 0.764)
Co (0.758, 0.873, 0.262)
Co (0.759, 0.624, 0.764)
O (0.128, 0.063, 0.368)
O (0.133, 0.566, 0.370)
O (0.142, 0.831, 0.878)
O (0.145, 0.305, 0.877)
O (0.371, 0.942, 0.650)
O (0.376, 0.415, 0.647)
O (0.386, 0.182, 0.158)
O (0.386, 0.683, 0.157)
O (0.612, 0.305, 0.877)
O (0.614, 0.031, 0.380)
O (0.621, 0.791, 0.879)
O (0.629, 0.566, 0.368)
O (0.887, 0.184, 0.157)
O (0.894, 0.454, 0.646)
O (0.905, 0.716, 0.148)
O (0.908, 0.943, 0.651)



BaMo2C4O17: optimized geometry, PBE+U.

Values from the calculation:
- Formation enthalpy at 0 K: -1235 meV/atom
- Symmetry: P3_1 (144)

Unit cell a=10.945 b=10.945 c=12.012 alpha=90.00 beta=90.00 gamma=120.00
Element x y z (fractional)
Ba (0.003, 0.137, 0.000)
Ba (0.134, 0.997, 0.667)
Ba (0.863, 0.866, 0.333)
Mo (0.103, 0.587, 0.602)
Mo (0.413, 0.516, 0.936)
Mo (0.484, 0.897, 0.269)
Mo (0.509, 0.407, 0.737)
Mo (0.593, 0.102, 0.070)
Mo (0.898, 0.491, 0.403)
C (0.009, 0.243, 0.670)
C (0.061, 0.484, 0.164)
C (0.234, 0.991, 0.336)
C (0.244, 0.008, 0.005)
C (0.423, 0.939, 0.831)
C (0.484, 0.062, 0.512)
C (0.516, 0.577, 0.497)
C (0.578, 0.516, 0.178)
C (0.757, 0.766, 0.003)
C (0.764, 0.756, 0.672)
C (0.938, 0.422, 0.845)
C (0.992, 0.236, 0.339)
O (0.007, 0.123, 0.503)
O (0.034, 0.181, 0.745)
O (0.035, 0.562, 0.212)
O (0.041, 0.370, 0.662)
O (0.083, 0.735, 0.629)
O (0.084, 0.246, 0.432)
O (0.087, 0.408, 0.113)
O (0.116, 0.993, 0.170)
O (0.121, 0.582, 0.454)
O (0.147, 0.966, 0.412)
O (0.161, 0.916, 0.099)
O (0.176, 0.032, 0.934)
O (0.235, 0.081, 0.245)
O (0.265, 0.348, 0.963)
O (0.271, 0.642, 0.653)
O (0.322, 0.913, 0.780)
O (0.329, 0.959, 0.329)
O (0.341, 0.258, 0.715)
O (0.358, 0.629, 0.986)
O (0.371, 0.729, 0.320)
O (0.372, 0.044, 0.009)
O (0.408, 0.088, 0.561)
O (0.418, 0.540, 0.787)
O (0.438, 0.473, 0.545)
O (0.460, 0.879, 0.120)
O (0.473, 0.438, 0.131)
O (0.527, 0.965, 0.879)
O (0.540, 0.415, 0.884)
O (0.562, 0.035, 0.464)
O (0.585, 0.125, 0.218)
O (0.592, 0.678, 0.446)
O (0.620, 0.355, 0.679)
O (0.630, 0.671, 0.996)
O (0.645, 0.266, 0.013)
O (0.652, 0.917, 0.296)
O (0.672, 0.628, 0.675)
O (0.680, 0.592, 0.228)
O (0.734, 0.380, 0.346)
O (0.742, 0.083, 0.048)
O (0.754, 0.839, 0.766)
O (0.819, 0.853, 0.078)
O (0.846, 0.765, 0.911)
O (0.855, 0.824, 0.601)
O (0.875, 0.460, 0.551)
O (0.877, 0.884, 0.837)
O (0.912, 0.320, 0.895)
O (0.917, 0.659, 0.381)
O (0.919, 0.154, 0.578)
O (0.956, 0.328, 0.342)
O (0.965, 0.527, 0.798)
O (0.968, 0.145, 0.267)



LaCrAsO: optimized geometry, PBE+U.

Values from the calculation:
- Distance to the lowest polymorph of the same formula: 7 meV per atom
- Formation enthalpy at 0 K: -1867 meV/atom
- Symmetry: P1 (1)

Unit cell a=4.180 b=8.236 c=10.050 alpha=112.98 beta=90.01 gamma=90.01
Element x y z (fractional)
La (0.000, 0.000, 0.000)
La (0.000, 0.500, 0.000)
La (0.500, 0.126, 0.742)
La (0.500, 0.627, 0.742)
Cr (0.000, 0.938, 0.363)
Cr (0.001, 0.438, 0.363)
Cr (0.498, 0.190, 0.380)
Cr (0.498, 0.690, 0.379)
As (0.500, 0.341, 0.198)
As (0.500, 0.840, 0.197)
As (0.999, 0.287, 0.545)
As (0.999, 0.786, 0.545)
O (0.000, 0.188, 0.870)
O (0.000, 0.688, 0.870)
O (0.500, 0.438, 0.872)
O (0.500, 0.938, 0.872)